# 1
A geometry-optimized LiFeP2O7 structure. Source: the Materials Project database, functional GGA+U.

Cell: 5.107 8.608 12.581 Å, 78.15 90.00 90.00°
Sites, in units of the cell vectors:
Fe  0.988  0.751  0.019
Fe  0.493  0.764  0.468
Fe  0.507  0.264  0.968
Fe  0.012  0.251  0.519
O  0.124  0.413  0.612
O  0.801  0.572  0.132
O  0.330  0.677  0.128
O  0.793  0.839  0.368
O  0.581  0.918  0.567
O  0.147  0.720  0.556
O  0.197  0.893  0.912
O  0.295  0.081  0.095
O  0.853  0.220  0.056
O  0.530  0.918  0.758
O  0.670  0.177  0.628
O  0.431  0.593  0.393
O  0.803  0.393  0.412
O  0.705  0.581  0.595
O  0.470  0.418  0.258
O  0.281  0.907  0.347
O  0.419  0.418  0.067
O  0.661  0.795  0.942
O  0.719  0.407  0.847
O  0.339  0.295  0.442
O  0.048  0.594  0.743
O  0.952  0.094  0.243
O  0.876  0.913  0.112
O  0.199  0.072  0.632
O  0.030  0.566  0.944
O  0.970  0.066  0.444
O  0.207  0.339  0.868
O  0.569  0.093  0.893
P  0.514  0.427  0.383
P  0.002  0.970  0.356
P  0.001  0.073  0.118
P  0.486  0.927  0.883
P  0.509  0.531  0.139
P  0.998  0.470  0.856
P  0.491  0.031  0.639
P  0.999  0.573  0.618
Li  0.488  0.874  0.185
Li  0.976  0.912  0.586
Li  0.024  0.412  0.086
Li  0.512  0.374  0.685

## Properties
V	12.30	Å³/atom
DFT formation energy	-239.9	kJ per mole of atoms
SG	Pc (7)
energy above the lowest structure with this stoichiometry	0.039	eV per atom

---

# 2
A geometry-optimized Li5Fe4P8O28 structure. Source: the Materials Project database, functional GGA+U.

Cell: 9.750 9.767 11.189 Å, 89.86 78.43 89.79°
Sites, in units of the cell vectors:
P  0.525  0.946  0.243
P  0.980  0.448  0.756
P  0.124  0.855  0.574
P  0.890  0.707  0.881
P  0.376  0.352  0.419
P  0.621  0.648  0.580
P  0.567  0.425  0.756
P  0.122  0.289  0.115
P  0.477  0.047  0.745
P  0.061  0.073  0.763
P  0.613  0.209  0.119
P  0.023  0.550  0.247
P  0.877  0.144  0.425
P  0.385  0.790  0.887
P  0.432  0.576  0.240
P  0.941  0.923  0.240
O  0.031  0.158  0.439
O  0.717  0.146  0.009
O  0.967  0.838  0.572
O  0.668  0.322  0.681
O  0.099  0.661  0.162
O  0.367  0.958  0.225
O  0.132  0.938  0.697
O  0.308  0.213  0.408
O  0.138  0.464  0.773
O  0.034  0.746  0.895
O  0.527  0.767  0.910
O  0.847  0.809  0.305
O  0.908  0.597  0.770
O  0.482  0.061  0.612
O  0.606  0.862  0.135
O  0.719  0.563  0.481
O  0.801  0.639  0.995
O  0.590  0.098  0.228
O  0.277  0.836  0.005
O  0.474  0.249  0.094
O  0.530  0.346  0.428
O  0.281  0.436  0.521
O  0.686  0.791  0.590
O  0.934  0.932  0.107
O  0.815  0.287  0.409
O  0.900  0.358  0.859
O  0.178  0.171  0.181
O  0.063  0.060  0.896
O  0.185  0.712  0.591
O  0.417  0.585  0.108
O  0.022  0.575  0.381
O  0.975  0.405  0.627
O  0.321  0.673  0.825
O  0.880  0.068  0.297
O  0.788  0.056  0.524
O  0.626  0.028  0.780
O  0.809  0.825  0.831
O  0.624  0.575  0.709
O  0.113  0.413  0.212
O  0.369  0.431  0.293
O  0.583  0.581  0.264
O  0.872  0.526  0.224
O  0.413  0.421  0.732
O  0.693  0.326  0.172
O  0.155  0.195  0.708
O  0.469  0.653  0.567
O  0.978  0.270  0.087
O  0.228  0.335  0.997
O  0.094  0.914  0.263
O  0.384  0.914  0.792
O  0.539  0.897  0.365
O  0.912  0.083  0.733
O  0.205  0.934  0.467
O  0.400  0.163  0.827
O  0.329  0.685  0.309
O  0.574  0.409  0.888
Li  0.646  0.896  0.957
Li  0.909  0.107  0.031
Li  0.092  0.889  0.976
Li  0.816  0.405  0.554
Li  0.851  0.416  0.040
Li  0.419  0.409  0.023
Li  0.607  0.962  0.495
Li  0.188  0.593  0.447
Li  0.881  0.716  0.453
Li  0.122  0.279  0.551
Fe  0.736  0.221  0.828
Fe  0.298  0.588  0.677
Fe  0.749  0.714  0.170
Fe  0.208  0.073  0.330
Fe  0.797  0.926  0.677
Fe  0.700  0.420  0.326
Fe  0.256  0.783  0.175
Fe  0.257  0.296  0.821

## Properties
V	11.60	Å³/atom
DFT formation energy	-208.9	kJ per mole of atoms
SG	P1 (1)
energy above the lowest structure with this stoichiometry	0.326	eV per atom

---

# 3
A geometry-optimized LiFePO4 structure. Source: the Materials Project database, functional GGA+U.

Cell: 5.620 8.378 18.733 Å, 90.00 90.00 90.00°
Sites, in units of the cell vectors:
O  0.236  0.006  0.683
O  0.957  0.215  0.583
O  0.733  0.502  0.015
O  0.238  0.495  0.318
O  0.735  0.995  0.984
O  0.733  0.998  0.515
O  0.011  0.785  0.417
O  0.516  0.287  0.750
O  0.512  0.214  0.917
O  0.958  0.285  0.417
O  0.735  0.505  0.484
O  0.458  0.785  0.083
O  0.738  0.995  0.182
O  0.012  0.786  0.083
O  0.233  0.498  0.985
O  0.511  0.285  0.083
O  0.516  0.213  0.250
O  0.511  0.215  0.583
O  0.962  0.289  0.750
O  0.236  0.003  0.350
O  0.958  0.215  0.917
O  0.235  0.005  0.016
O  0.012  0.714  0.583
O  0.237  0.002  0.152
O  0.736  0.997  0.650
O  0.457  0.785  0.417
O  0.736  0.994  0.317
O  0.737  0.502  0.348
O  0.016  0.713  0.250
O  0.736  0.503  0.150
O  0.736  0.506  0.817
O  0.236  0.497  0.850
O  0.462  0.711  0.250
O  0.458  0.715  0.583
O  0.957  0.285  0.083
O  0.738  0.505  0.682
O  0.011  0.715  0.917
O  0.457  0.715  0.917
O  0.235  0.495  0.516
O  0.233  0.002  0.485
O  0.462  0.789  0.750
O  0.236  0.494  0.183
O  0.512  0.286  0.417
O  0.737  0.998  0.848
O  0.237  0.498  0.652
O  0.962  0.211  0.250
O  0.016  0.787  0.750
O  0.238  0.005  0.818
Fe  0.737  0.752  0.833
Fe  0.236  0.251  0.833
Fe  0.737  0.748  0.333
Fe  0.735  0.751  0.500
Fe  0.237  0.252  0.667
Fe  0.735  0.749  0.000
Fe  0.235  0.251  0.000
Fe  0.235  0.249  0.500
Fe  0.236  0.249  0.333
Fe  0.736  0.749  0.167
Fe  0.736  0.751  0.667
Fe  0.237  0.248  0.167
Li  0.232  0.586  0.084
Li  0.730  0.413  0.249
Li  0.730  0.087  0.749
Li  0.245  0.916  0.917
Li  0.230  0.913  0.251
Li  0.732  0.414  0.916
Li  0.745  0.416  0.583
Li  0.230  0.587  0.751
Li  0.232  0.914  0.584
Li  0.732  0.086  0.416
Li  0.245  0.584  0.417
Li  0.745  0.084  0.083
P  0.738  0.098  0.250
P  0.238  0.902  0.750
P  0.738  0.402  0.750
P  0.236  0.900  0.084
P  0.238  0.598  0.250
P  0.236  0.600  0.584
P  0.736  0.100  0.916
P  0.734  0.399  0.083
P  0.734  0.101  0.583
P  0.234  0.601  0.917
P  0.736  0.400  0.416
P  0.234  0.899  0.417

## Properties
V	10.50	Å³/atom
DFT formation energy	-237.7	kJ per mole of atoms
SG	Pna2_1 (33)
energy above the lowest structure with this stoichiometry	0.016	eV per atom

---

# 4
A geometry-optimized Li2Fe3P9O28 structure. Source: the Materials Project database, functional GGA+U.

Cell: 7.101 9.037 9.251 Å, 111.44 109.30 98.44°
Sites, in units of the cell vectors:
O  0.816  0.884  0.557
O  0.577  0.085  0.366
O  0.891  0.345  0.293
O  0.364  0.302  0.754
O  0.089  0.373  0.116
O  0.582  0.660  0.918
O  0.418  0.340  0.082
O  0.473  0.651  0.440
O  0.784  0.568  0.454
O  0.737  0.151  0.980
O  0.242  0.797  0.309
O  0.423  0.915  0.634
O  0.086  0.108  0.880
O  0.775  0.463  0.071
O  0.216  0.432  0.546
O  0.184  0.116  0.443
O  0.225  0.537  0.929
O  0.263  0.849  0.020
O  0.527  0.349  0.560
O  0.914  0.892  0.120
O  0.121  0.636  0.445
O  0.109  0.655  0.707
O  0.250  0.172  0.195
O  0.758  0.203  0.691
O  0.750  0.828  0.805
O  0.879  0.364  0.555
O  0.911  0.627  0.884
O  0.636  0.698  0.246
P  0.141  0.667  0.889
P  0.000  0.500  0.500
P  0.686  0.241  0.538
P  0.215  0.241  0.067
P  0.859  0.333  0.111
P  0.785  0.759  0.933
P  0.310  0.294  0.577
P  0.690  0.706  0.423
P  0.314  0.759  0.462
Li  0.701  0.923  0.234
Li  0.299  0.077  0.766
Fe  0.500  0.500  0.000
Fe  0.769  0.022  0.762
Fe  0.231  0.978  0.238

## Properties
V	11.83	Å³/atom
DFT formation energy	-238.4	kJ per mole of atoms
SG	P-1 (2)

---

# 5
A geometry-optimized LiFePO4 structure. Source: the Materials Project database, functional GGA+U.

Cell: 5.356 9.119 10.130 Å, 115.58 104.14 91.84°
Sites, in units of the cell vectors:
P  0.625  0.275  0.193
P  0.350  0.700  0.693
P  0.851  0.200  0.693
P  0.125  0.775  0.193
O  0.700  0.256  0.816
O  0.654  0.079  0.536
O  0.785  0.228  0.316
O  0.041  0.617  0.035
O  0.802  0.406  0.183
O  0.199  0.756  0.816
O  0.070  0.109  0.732
O  0.303  0.906  0.183
O  0.379  0.339  0.233
O  0.569  0.609  0.732
O  0.459  0.855  0.683
O  0.154  0.579  0.535
O  0.541  0.117  0.036
O  0.285  0.728  0.316
O  0.958  0.355  0.683
O  0.879  0.839  0.233
Fe  0.679  0.012  0.320
Fe  0.928  0.595  0.820
Fe  0.429  0.095  0.820
Fe  0.179  0.512  0.320
Li  0.512  0.871  0.512
Li  0.012  0.371  0.512
Li  0.300  0.941  0.012
Li  0.800  0.441  0.012

## Properties
V	15.26	Å³/atom
DFT formation energy	-233.4	kJ per mole of atoms
energy above the lowest structure with this stoichiometry	0.061	eV per atom

---

# 6
A geometry-optimized LiFeP2O7 structure. Source: the Materials Project database, functional GGA+U.

Cell: 8.055 7.193 9.604 Å, 69.15 90.00 90.00°
Sites, in units of the cell vectors:
O  0.137  0.201  0.600
O  0.922  0.457  0.345
O  0.299  0.687  0.887
O  0.419  0.028  0.642
O  0.338  0.881  0.065
O  0.581  0.972  0.358
O  0.637  0.799  0.900
O  0.208  0.192  0.879
O  0.701  0.313  0.113
O  0.799  0.313  0.613
O  0.889  0.383  0.890
O  0.611  0.383  0.390
O  0.201  0.687  0.387
O  0.389  0.617  0.610
O  0.919  0.972  0.858
O  0.578  0.457  0.845
O  0.363  0.201  0.100
O  0.662  0.119  0.935
O  0.422  0.543  0.155
O  0.863  0.799  0.400
O  0.081  0.028  0.142
O  0.708  0.808  0.621
O  0.792  0.808  0.121
O  0.111  0.617  0.110
O  0.292  0.192  0.379
O  0.162  0.881  0.565
O  0.838  0.119  0.435
O  0.078  0.543  0.655
P  0.239  0.085  0.045
P  0.211  0.670  0.550
P  0.289  0.670  0.050
P  0.761  0.915  0.955
P  0.711  0.330  0.950
P  0.789  0.330  0.450
P  0.261  0.085  0.545
P  0.739  0.915  0.455
Fe  0.005  0.259  0.749
Fe  0.495  0.259  0.249
Fe  0.995  0.741  0.251
Fe  0.505  0.741  0.751
Li  0.978  0.692  0.775
Li  0.478  0.308  0.725
Li  0.022  0.308  0.225
Li  0.522  0.692  0.275

## Properties
V	11.82	Å³/atom
DFT formation energy	-240.6	kJ per mole of atoms
SG	P2_1/c (14)
energy above the lowest structure with this stoichiometry	0.033	eV per atom